34
Lattice="8.227 0.000 0.000 0.000 8.227 0.000 0.000 0.000 8.227" Properties=species:S:1:pos:R:3 comment="PBE Ba4SmCu3O9, relaxed" magmom_total_mub_per_cell=1.255 e_form_ev_per_atom=-2.36 spacegroup="Pm-3n (223)" pbc="T T T"
Ba 2.057 2.057 2.057
Ba 2.057 2.057 6.171
Ba 2.057 6.171 2.057
Ba 2.057 6.171 6.171
Ba 6.171 2.057 2.057
Ba 6.171 2.057 6.171
Ba 6.171 6.171 2.057
Ba 6.171 6.171 6.171
Sm 0.000 0.000 0.000
Sm 4.114 4.114 4.114
Cu 0.000 0.000 4.114
Cu 0.000 4.114 0.000
Cu 0.000 4.114 4.114
Cu 4.114 0.000 0.000
Cu 4.114 0.000 4.114
Cu 4.114 4.114 0.000
O 0.000 0.000 2.273
O 0.000 0.000 5.955
O 0.000 2.057 4.114
O 0.000 2.273 0.000
O 0.000 5.955 0.000
O 0.000 6.171 4.114
O 1.841 4.114 4.114
O 2.057 4.114 0.000
O 2.273 0.000 0.000
O 4.114 0.000 2.057
O 4.114 0.000 6.171
O 4.114 1.841 4.114
O 4.114 4.114 1.841
O 4.114 4.114 6.386
O 4.114 6.386 4.114
O 5.955 0.000 0.000
O 6.171 4.114 0.000
O 6.386 4.114 4.114

=====

16
Lattice="9.499 0.000 0.000 0.000 2.872 0.000 0.000 0.000 4.421" Properties=species:S:1:pos:R:3 comment="PBE AlHO2, relaxed" e_form_ev_per_atom=-2.64 spacegroup="Pnma (62)" pbc="T T T"
Al 1.368 0.718 0.203
Al 3.381 2.154 2.414
Al 6.118 0.718 2.008
Al 8.131 2.154 4.219
H 0.847 2.154 2.595
H 3.902 0.718 0.384
H 5.597 2.154 4.038
H 8.651 0.718 1.827
O 0.512 2.154 3.547
O 1.881 2.154 1.285
O 2.869 0.718 3.496
O 4.238 0.718 1.337
O 5.261 2.154 3.085
O 6.630 2.154 0.926
O 7.618 0.718 3.137
O 8.987 0.718 0.874

=====

35
Lattice="10.167 -2.922 0.000 10.167 2.922 0.000 -0.594 0.000 10.221" Properties=species:S:1:pos:R:3 comment="PBE Ba10Re3O22, relaxed" magmom_total_mub_per_cell=3.000 e_form_ev_per_atom=-2.66 spacegroup="C2/m (12)" pbc="T T T"
Ba 1.153 0.000 3.477
Ba 3.099 0.000 9.159
Ba 5.594 0.000 5.990
Ba 7.733 0.000 9.348
Ba 8.574 0.000 3.355
Ba 11.164 0.000 6.865
Ba 12.006 0.000 0.872
Ba 14.145 0.000 4.230
Ba 16.640 0.000 1.062
Ba 18.586 0.000 6.743
Re 0.000 0.000 0.000
Re 5.082 0.000 2.438
Re 14.656 0.000 7.783
O 5.367 1.535 8.677
O 0.663 0.000 6.008
O 6.063 1.315 3.482
O 1.709 0.000 0.832
O 3.776 0.000 3.844
O 9.564 1.565 1.209
O 10.175 1.565 9.012
O 6.547 0.000 1.211
O 8.294 0.000 6.563
O 14.372 1.535 1.544
O 13.676 1.315 6.739
O 6.063 -1.315 3.482
O 5.367 -1.535 8.677
O 11.445 0.000 3.658
O 13.191 0.000 9.009
O 9.564 -1.565 1.209
O 10.175 -1.565 9.012
O 15.963 0.000 6.376
O 18.030 0.000 9.389
O 13.676 -1.315 6.739
O 19.076 0.000 4.213
O 14.372 -1.535 1.544

=====

6
Lattice="4.882 0.000 0.000 -2.441 4.228 0.000 0.000 0.000 3.942" Properties=species:S:1:pos:R:3 comment="PBE YNi5, relaxed" e_form_ev_per_atom=-0.32 spacegroup="P6/mmm (191)" pbc="T T T"
Y 0.000 0.000 0.000
Ni -1.221 2.114 1.971
Ni 0.000 2.819 0.000
Ni 2.441 0.000 1.971
Ni 1.221 2.114 1.971
Ni 2.441 1.409 0.000

=====

32
Lattice="10.972 0.000 0.000 0.000 7.264 0.000 0.000 0.000 6.682" Properties=species:S:1:pos:R:3 comment="PBE K2ErF5, relaxed" e_form_ev_per_atom=-3.78 spacegroup="Pnma (62)" pbc="T T T"
K 1.876 0.022 0.232
K 1.876 3.610 0.232
K 3.610 3.654 3.573
K 3.610 7.242 3.573
K 7.362 0.022 3.110
K 7.362 3.610 3.110
K 9.096 3.654 6.451
K 9.096 7.242 6.451
Er 0.028 1.816 3.767
Er 5.458 5.448 0.426
Er 5.514 1.816 6.257
Er 10.944 5.448 2.915
F 0.153 1.816 5.946
F 0.800 3.892 4.323
F 0.800 7.004 4.323
F 1.822 1.816 2.523
F 2.074 5.448 2.293
F 3.412 1.816 5.634
F 3.664 5.448 5.865
F 4.686 0.260 0.981
F 4.686 3.372 0.981
F 5.333 5.448 2.605
F 5.639 1.816 4.077
F 6.286 3.892 5.701
F 6.286 7.004 5.701
F 7.308 1.816 0.818
F 7.560 5.448 1.048
F 8.898 1.816 4.390
F 9.150 5.448 4.159
F 10.172 0.260 2.360
F 10.172 3.372 2.360
F 10.819 5.448 0.736

=====

24
Lattice="6.243 0.000 0.000 0.990 6.800 0.000 3.065 3.000 8.393" Properties=species:S:1:pos:R:3 comment="PBE SrSbP2O8, relaxed" magmom_total_mub_per_cell=0.003 e_form_ev_per_atom=-2.63 spacegroup="P-1 (2)" pbc="T T T"
Sr 3.241 3.031 3.968
Sr 7.058 6.770 4.425
Sb 5.669 5.357 8.127
Sb 4.629 4.443 0.266
P 3.496 5.749 6.512
P 3.839 6.988 2.272
P 6.459 2.812 6.121
P 6.802 4.051 1.881
O 2.459 7.397 2.735
O 3.814 4.679 7.660
O 3.198 5.199 5.147
O 1.830 3.229 1.465
O 4.825 6.611 6.610
O 3.839 5.440 1.862
O 4.928 7.298 3.291
O 3.293 0.953 0.940
O 7.005 8.847 7.453
O 5.370 2.502 5.102
O 6.460 4.360 6.531
O 5.473 3.190 1.783
O 8.469 6.571 6.928
O 7.100 4.601 3.246
O 6.484 5.121 0.733
O 7.839 2.403 5.658

=====

17
Lattice="7.285 0.000 0.000 -2.380 8.697 0.000 -1.129 -3.268 8.423" Properties=species:S:1:pos:R:3 comment="PBE Er6CoBr10, relaxed" e_form_ev_per_atom=-1.86 spacegroup="P-1 (2)" pbc="T T T"
Er -0.772 0.495 3.456
Er -0.718 3.881 2.168
Er 0.324 3.305 5.687
Er 3.452 2.124 2.735
Er 4.494 1.548 6.255
Er 4.548 4.934 4.967
Co -1.754 2.715 4.211
Br -1.813 6.518 2.747
Br 0.804 1.591 1.276
Br -0.622 1.959 8.100
Br -0.564 5.796 6.522
Br 1.865 0.868 4.947
Br 1.911 4.561 3.476
Br 4.340 -0.367 1.901
Br 4.398 3.470 0.323
Br 2.972 3.838 7.147
Br 5.590 -1.089 5.676

=====

10
Lattice="3.630 0.000 0.000 -0.088 6.024 0.000 -0.707 -1.857 6.009" Properties=species:S:1:pos:R:3 comment="PBE LaVN3, relaxed" magmom_total_mub_per_cell=0.000 e_form_ev_per_atom=-1.25 spacegroup="P1 (1)" pbc="T T T"
La 0.000 0.000 0.000
La -0.102 2.424 2.748
V 1.169 1.184 5.898
V 1.822 -0.723 2.895
N -0.059 2.532 0.242
N 0.018 -0.869 3.702
N 0.954 -0.497 4.683
N 1.234 2.584 4.868
N 1.743 3.880 1.766
N 1.789 0.698 1.886

=====

25
Lattice="4.531 0.000 0.000 0.672 10.191 0.000 0.408 0.709 11.098" Properties=species:S:1:pos:R:3 comment="PBE LiAu4Se4Cl4O12, relaxed" magmom_total_mub_per_cell=0.999 e_form_ev_per_atom=-0.88 relative_energy_mev_per_atom=5 spacegroup="P1 (1)" pbc="T T T"
Li 0.000 0.000 0.000
Au 4.148 8.170 1.632
Au 4.522 10.292 5.648
Au 4.285 4.313 9.369
Au 4.152 4.170 3.786
Se 0.697 7.182 4.682
Se 0.872 2.930 6.549
Se 2.751 5.147 0.945
Se 3.000 1.320 2.652
Cl 1.431 9.660 7.317
Cl 1.183 2.493 9.738
Cl 2.922 6.128 8.993
Cl 3.228 9.646 10.862
O 1.098 7.639 3.073
O 1.178 3.779 5.061
O 2.551 4.475 2.553
O 2.507 0.648 4.172
O 3.492 3.676 0.261
O 4.041 8.388 5.174
O 3.886 6.047 4.517
O 3.911 2.069 6.207
O 4.183 6.086 1.095
O 4.677 10.290 1.903
O 4.644 4.286 7.361
O 4.407 2.294 3.044

=====

8
Lattice="3.637 0.000 0.000 -1.819 3.150 0.000 0.000 0.000 16.368" Properties=species:S:1:pos:R:3 comment="PBE KNbSe2, relaxed" magmom_total_mub_per_cell=0.001 e_form_ev_per_atom=-1.22 spacegroup="P6_3/mmc (194)" pbc="T T T"
K 0.000 0.000 0.000
K 0.000 0.000 8.184
Nb 0.000 0.000 4.092
Nb 0.000 0.000 12.276
Se 0.000 2.100 2.462
Se 0.000 2.100 5.722
Se 1.819 1.050 10.647
Se 1.819 1.050 13.906

=====

24
Lattice="0.000 6.917 6.917 6.917 0.000 6.917 6.917 6.917 0.000" Properties=species:S:1:pos:R:3 comment="PBE Gd4InIr, relaxed" magmom_total_mub_per_cell=28.736 e_form_ev_per_atom=-0.56 spacegroup="F-43m (216)" pbc="T T T"
Gd 6.917 6.917 2.618
Gd 6.917 2.618 6.917
Gd 11.215 6.917 6.917
Gd 5.556 5.556 5.556
Gd 8.278 8.278 5.556
Gd 8.278 5.556 8.278
Gd 10.375 10.375 7.733
Gd 10.375 7.733 10.375
Gd 13.017 10.375 10.375
Gd 5.556 8.278 8.278
Gd 2.618 6.917 6.917
Gd 6.917 11.215 6.917
Gd 6.917 6.917 11.215
Gd 7.733 10.375 10.375
Gd 10.375 13.017 10.375
Gd 10.375 10.375 13.017
In 2.320 2.320 2.320
In 4.597 4.597 2.320
In 4.597 2.320 4.597
In 2.320 4.597 4.597
Ir 8.426 5.408 5.408
Ir 5.408 8.426 5.408
Ir 5.408 5.408 8.426
Ir 8.426 8.426 8.426

=====

22
Lattice="9.891 0.000 0.000 -4.945 8.566 0.000 0.000 0.000 7.962" Properties=species:S:1:pos:R:3 comment="PBE K3BiAs6Se12, relaxed" magmom_total_mub_per_cell=0.000 e_form_ev_per_atom=-0.70 spacegroup="P-3 (147)" pbc="T T T"
K 0.000 0.000 0.000
K 0.000 5.710 6.645
K 4.945 2.855 1.317
Bi 0.000 0.000 3.981
As -0.692 3.889 2.938
As -1.231 7.220 2.938
As 3.022 2.544 5.024
As 1.923 6.021 2.938
As 6.176 1.345 5.024
As 5.638 4.676 5.024
Se -3.268 6.743 5.682
Se -2.166 5.369 1.589
Se 0.739 2.364 5.682
Se 2.417 0.542 2.280
Se 1.378 4.005 1.589
Se 4.158 0.809 6.373
Se 0.788 7.757 1.589
Se 3.567 4.561 6.373
Se 2.528 8.024 5.682
Se 4.206 6.201 2.280
Se 7.112 3.196 6.373
Se 8.213 1.822 2.280

=====

no.,VASP energy (eV per atom)
1,-6.06
2,-6.56
3,-6.95
4,-6.21
5,-5.54
6,-6.86
7,-4.54
8,-8.84
9,-4.38
10,-5.53
11,-11.88
12,-3.94